Material: Na14La4Ti4Si9S3O48
Method: DFT, PBE-GGA
State: optimized geometry

Cell: 9.351 16.290 22.612 Å, 90.67 90.02 90.08°
Fractional positions:
Na 0.000 0.000 0.000
Na 0.000 0.650 0.336
Na 0.107 0.147 0.831
Na 0.110 0.498 0.505
Na 0.123 0.520 0.842
Na 0.127 0.818 0.178
Na 0.132 0.854 0.507
Na 0.160 0.505 0.171
Na 0.163 0.163 0.521
Na 0.183 0.850 0.834
Na 0.299 0.999 0.922
Na 0.300 0.675 0.253
Na 0.302 0.326 0.088
Na 0.307 0.682 0.744
Na 0.313 0.333 0.594
Na 0.318 0.989 0.434
Na 0.418 0.840 0.344
Na 0.432 0.175 0.009
Na 0.458 0.511 0.664
Na 0.469 0.829 0.673
Na 0.479 0.866 0.006
Na 0.486 0.514 0.347
Na 0.506 0.150 0.325
Na 0.611 0.656 0.820
Na 0.625 0.015 0.832
Na 0.632 0.363 0.510
Na 0.645 0.325 0.172
Na 0.654 0.012 0.163
Na 0.679 0.676 0.512
Na 0.695 0.339 0.840
Na 0.787 0.487 0.924
Na 0.798 0.166 0.747
Na 0.798 0.834 0.093
Na 0.801 0.178 0.246
Na 0.808 0.829 0.591
Na 0.812 0.501 0.431
Na 0.925 0.348 0.342
Na 0.946 0.006 0.669
Na 0.948 0.667 0.011
Na 0.977 0.314 0.674
Na 0.981 0.347 0.999
Na 0.988 0.016 0.347
La 0.299 0.676 0.408
La 0.301 0.345 0.444
La 0.309 0.004 0.755
La 0.312 0.011 0.082
La 0.314 0.671 0.906
La 0.319 0.994 0.267
La 0.792 0.496 0.767
La 0.798 0.510 0.583
La 0.801 0.169 0.409
La 0.808 0.846 0.940
La 0.810 0.175 0.906
La 0.811 0.504 0.258
Ti 0.294 0.674 0.102
Ti 0.297 0.352 0.948
Ti 0.300 0.998 0.582
Ti 0.309 0.335 0.736
Ti 0.311 0.342 0.235
Ti 0.315 0.690 0.593
Ti 0.787 0.853 0.729
Ti 0.797 0.189 0.094
Ti 0.801 0.836 0.236
Ti 0.816 0.168 0.605
Ti 0.817 0.853 0.450
Ti 0.830 0.500 0.075
Si 0.004 0.678 0.500
Si 0.029 0.340 0.838
Si 0.081 0.840 0.338
Si 0.106 0.178 0.001
Si 0.143 0.846 0.671
Si 0.151 0.524 0.005
Si 0.153 0.160 0.669
Si 0.153 0.820 0.006
Si 0.160 0.489 0.332
Si 0.445 0.474 0.839
Si 0.452 0.526 0.508
Si 0.464 0.836 0.503
Si 0.469 0.835 0.170
Si 0.476 0.170 0.172
Si 0.508 0.840 0.836
Si 0.600 0.339 0.337
Si 0.611 0.014 0.673
Si 0.634 0.670 0.672
Si 0.642 0.336 0.670
Si 0.649 0.336 0.004
Si 0.660 0.026 0.008
Si 0.667 0.974 0.340
Si 0.953 0.317 0.507
Si 0.954 0.989 0.831
Si 0.960 0.660 0.168
Si 0.969 0.347 0.170
Si 0.974 0.024 0.505
S 0.136 0.502 0.674
S 0.160 0.194 0.330
S 0.437 0.202 0.840
S 0.491 0.507 0.171
S 0.499 0.162 0.510
S 0.611 0.661 0.012
S 0.669 0.701 0.338
S 0.952 0.692 0.834
S 0.975 0.003 0.174
O 0.000 0.190 0.326
O 0.036 0.159 0.936
O 0.043 0.511 0.727
O 0.047 0.488 0.621
O 0.063 0.987 0.121
O 0.069 0.011 0.227
O 0.071 0.659 0.434
O 0.112 0.685 0.829
O 0.127 0.310 0.518
O 0.128 0.001 0.827
O 0.132 0.341 0.899
O 0.135 0.341 0.779
O 0.135 0.672 0.153
O 0.144 0.348 0.173
O 0.145 0.006 0.518
O 0.145 0.689 0.545
O 0.149 0.576 0.945
O 0.151 0.110 0.731
O 0.178 0.925 0.340
O 0.184 0.442 0.394
O 0.185 0.759 0.332
O 0.194 0.921 0.623
O 0.203 0.097 0.015
O 0.205 0.263 0.002
O 0.206 0.226 0.389
O 0.207 0.786 0.941
O 0.212 0.426 0.276
O 0.212 0.913 0.014
O 0.213 0.247 0.282
O 0.213 0.759 0.649
O 0.215 0.255 0.675
O 0.220 0.110 0.324
O 0.220 0.431 0.002
O 0.221 0.578 0.059
O 0.228 0.101 0.618
O 0.229 0.575 0.669
O 0.229 0.870 0.731
O 0.231 0.427 0.678
O 0.233 0.757 0.055
O 0.252 0.574 0.326
O 0.367 0.439 0.519
O 0.367 0.563 0.835
O 0.370 0.869 0.226
O 0.377 0.118 0.840
O 0.382 0.245 0.787
O 0.383 0.809 0.441
O 0.388 0.922 0.524
O 0.389 0.573 0.157
O 0.391 0.424 0.899
O 0.394 0.592 0.559
O 0.397 0.245 0.895
O 0.398 0.743 0.156
O 0.400 0.091 0.518
O 0.400 0.136 0.112
O 0.401 0.418 0.780
O 0.406 0.262 0.185
O 0.406 0.427 0.171
O 0.409 0.923 0.835
O 0.414 0.240 0.516
O 0.419 0.753 0.826
O 0.420 0.564 0.442
O 0.423 0.766 0.554
O 0.455 0.103 0.226
O 0.459 0.683 0.662
O 0.462 0.902 0.117
O 0.468 0.995 0.631
O 0.470 0.325 0.685
O 0.473 0.346 0.284
O 0.474 0.332 0.999
O 0.486 0.013 0.011
O 0.492 0.983 0.342
O 0.495 0.662 0.056
O 0.510 0.699 0.332
O 0.522 0.338 0.401
O 0.551 0.652 0.951
O 0.552 0.036 0.738
O 0.552 0.523 0.231
O 0.558 0.155 0.449
O 0.585 0.835 0.901
O 0.597 0.200 0.834
O 0.608 0.496 0.127
O 0.616 0.164 0.554
O 0.620 0.482 0.842
O 0.625 0.513 0.510
O 0.632 0.849 0.782
O 0.640 0.832 0.499
O 0.641 0.825 0.185
O 0.645 0.404 0.618
O 0.651 0.182 0.164
O 0.652 0.602 0.726
O 0.690 0.067 0.944
O 0.690 0.266 0.055
O 0.691 0.253 0.327
O 0.694 0.739 0.017
O 0.696 0.424 0.333
O 0.704 0.761 0.686
O 0.704 0.925 0.673
O 0.709 0.635 0.612
O 0.710 0.918 0.280
O 0.711 0.591 0.020
O 0.712 0.742 0.394
O 0.717 0.091 0.061
O 0.719 0.247 0.656
O 0.721 0.924 0.399
O 0.722 0.423 0.028
O 0.726 0.744 0.285
O 0.727 0.615 0.336
O 0.728 0.081 0.651
O 0.736 0.373 0.727
O 0.738 0.314 0.944
O 0.744 0.939 0.018
O 0.745 0.064 0.335
O 0.863 0.075 0.826
O 0.873 0.255 0.554
O 0.880 0.928 0.179
O 0.882 0.076 0.169
O 0.883 0.374 0.231
O 0.884 0.599 0.118
O 0.889 0.606 0.829
O 0.894 0.928 0.776
O 0.896 0.412 0.514
O 0.896 0.932 0.501
O 0.897 0.260 0.150
O 0.897 0.754 0.173
O 0.898 0.745 0.786
O 0.900 0.080 0.556
O 0.906 0.287 0.440
O 0.907 0.597 0.514
O 0.907 0.763 0.502
O 0.909 0.722 0.893
O 0.920 0.423 0.123
O 0.925 0.260 0.832
O 0.929 0.943 0.894
O 0.933 0.425 0.841
O 0.964 0.609 0.230
O 0.967 0.073 0.442
O 0.967 0.189 0.047
O 0.968 0.849 0.673
O 0.975 0.506 0.019
O 0.977 0.839 0.278
O 0.979 0.172 0.653
O 0.979 0.841 0.398
O 0.981 0.810 0.017
O 0.986 0.502 0.329

Summary:
V: 14.00 Å³/atom
total energy after the MP2020 corrections: -7.387 eV/atom
SG: P1, No. 1